Entry 1:
Density functional theory data (r²SCAN) for a relaxed Li3Bi crystal.

The structure in POSCAR format:
```
Li3Bi
1.0
4.097 0.000 2.366
1.366 3.863 2.366
0.000 0.000 4.731
Li Bi
3 1
direct
0.500 0.500 0.500
0.750 0.750 0.750
0.250 0.250 0.250
0.000 0.000 0.000
```

- SG: Fm-3m
- VASP energy: -17.0434 eV/atom

***

Entry 2:
Density functional theory data (r²SCAN) for a relaxed Li3BiO4 crystal.

The structure in POSCAR format:
```
Li3BiO4
1.0
-0.365 -8.362 2.361
5.937 -1.966 -6.043
3.097 0.663 2.827
O Li Bi
16 12 4
direct
0.113 0.887 0.000
0.887 0.113 0.000
0.630 0.878 0.000
0.122 0.370 0.000
0.130 0.622 0.500
0.624 0.376 0.000
0.878 0.630 0.000
0.622 0.130 0.500
0.387 0.387 0.500
0.378 0.870 0.500
0.124 0.124 0.500
0.870 0.378 0.500
0.613 0.613 0.500
0.376 0.624 0.000
0.876 0.876 0.500
0.370 0.122 0.000
0.888 0.397 0.000
0.388 0.103 0.500
0.612 0.897 0.500
0.397 0.888 0.000
0.897 0.612 0.500
0.103 0.388 0.500
0.603 0.112 0.000
0.370 0.370 0.000
0.630 0.630 0.000
0.130 0.870 0.500
0.112 0.603 0.000
0.870 0.130 0.500
0.634 0.366 0.500
0.866 0.866 0.000
0.366 0.634 0.500
0.134 0.134 0.000
```

- SG: P4_2/mnm
- VASP energy: -12.9009 eV/atom

***

Entry 3:
Density functional theory data (r²SCAN) for a relaxed LiBiP4O12 crystal.

The structure in POSCAR format:
```
LiBiP4O12
1.0
3.512 8.172 0.003
-3.512 8.172 0.003
0.000 5.710 7.847
O P Li Bi
24 8 2 2
direct
0.158 0.603 0.688
0.976 0.163 0.777
0.665 0.827 0.853
0.535 0.780 0.271
0.760 0.978 0.532
0.335 0.173 0.147
0.240 0.022 0.468
0.978 0.760 0.032
0.448 0.421 0.930
0.220 0.465 0.229
0.022 0.240 0.968
0.465 0.220 0.729
0.780 0.535 0.771
0.842 0.397 0.312
0.837 0.024 0.723
0.397 0.842 0.812
0.173 0.335 0.647
0.552 0.579 0.070
0.579 0.552 0.570
0.827 0.665 0.353
0.024 0.837 0.223
0.603 0.158 0.188
0.421 0.448 0.430
0.163 0.976 0.277
0.700 0.006 0.696
0.581 0.697 0.885
0.303 0.419 0.615
0.300 0.994 0.304
0.697 0.581 0.385
0.006 0.700 0.196
0.419 0.303 0.115
0.994 0.300 0.804
0.300 0.700 0.250
0.700 0.300 0.750
0.193 0.807 0.750
0.807 0.193 0.250
```

- SG: C2/c
- VASP energy: -11.6678 eV/atom

***

Entry 4:
Density functional theory data (r²SCAN) for a relaxed Li3SmBi2 crystal.

The structure in POSCAR format:
```
Li3SmBi2
1.0
4.671 0.000 0.000
-2.335 4.045 0.000
0.001 0.000 7.410
Li Bi Sm
3 2 1
direct
0.000 0.000 0.500
0.333 0.667 0.352
0.667 0.333 0.648
0.667 0.333 0.251
0.333 0.667 0.749
0.000 0.000 0.000
```

- SG: P-3m1
- VASP energy: -26.4746 eV/atom

***

Entry 5:
Density functional theory data (r²SCAN) for a relaxed SrLiBi crystal.

The structure in POSCAR format:
```
SrLiBi
1.0
4.930 0.000 0.000
0.000 8.201 0.000
0.000 0.000 8.657
Li Sr Bi
4 4 4
direct
0.250 0.661 0.076
0.750 0.839 0.576
0.250 0.161 0.424
0.750 0.339 0.924
0.250 0.005 0.792
0.750 0.495 0.292
0.750 0.995 0.208
0.250 0.505 0.708
0.750 0.725 0.907
0.250 0.775 0.407
0.750 0.225 0.593
0.250 0.275 0.093
```

- SG: Pnma
- VASP energy: -26.3265 eV/atom

***

Entry 6:
Density functional theory data (r²SCAN) for a relaxed Li3YBi2 crystal.

The structure in POSCAR format:
```
Li3YBi2
1.0
4.639 0.001 0.002
-2.319 4.016 0.000
0.000 0.001 7.324
Bi Y Li
2 1 3
direct
0.667 0.334 0.753
0.333 0.666 0.247
0.000 0.000 0.000
0.334 0.667 0.649
0.000 0.000 0.500
0.666 0.333 0.351
```

- SG: P-3m1
- VASP energy: -24.8844 eV/atom

***

Entry 7:
Density functional theory data (r²SCAN) for a relaxed Lu5BiPd2 crystal.

The structure in POSCAR format:
```
Lu5BiPd2
1.0
-3.791 3.791 6.758
3.791 -3.791 6.758
3.791 3.791 -6.758
Bi Pd Lu
2 4 10
direct
0.250 0.250 0.000
0.750 0.750 0.000
0.361 0.139 0.500
0.639 0.861 0.500
0.139 0.639 0.778
0.861 0.361 0.222
0.206 0.706 0.193
0.000 0.000 0.000
0.500 0.500 0.000
0.513 0.013 0.807
0.294 0.487 0.500
0.706 0.513 0.500
0.987 0.794 0.500
0.013 0.206 0.500
0.487 0.987 0.193
0.794 0.294 0.807
```

- SG: I4/mcm
- VASP energy: -37.6231 eV/atom

***

Entry 8:
Density functional theory data (r²SCAN) for a relaxed Mg3Bi2 crystal.

The structure in POSCAR format:
```
Mg3Bi2
1.0
4.676 0.000 0.000
-2.338 4.050 0.000
0.000 0.000 7.407
Mg Bi
3 2
direct
0.333 0.667 0.630
0.667 0.333 0.370
0.000 0.000 0.000
0.333 0.667 0.223
0.667 0.333 0.777
```

- SG: P-3m1
- VASP energy: -26.1885 eV/atom

***

Entry 9:
Density functional theory data (r²SCAN) for a relaxed MgSnBi2O6 crystal.

The structure in POSCAR format:
```
MgSnBi2O6
1.0
-4.713 -2.901 -0.907
-4.813 1.663 2.350
-4.068 2.184 -3.184
O Mg Sn Bi
6 1 1 2
direct
0.752 0.248 0.752
0.248 0.752 0.248
0.248 0.248 0.752
0.248 0.752 0.752
0.752 0.248 0.248
0.752 0.752 0.248
0.000 0.000 0.000
0.500 0.500 0.500
0.250 0.250 0.250
0.750 0.750 0.750
```

- SG: Fm-3m
- VASP energy: -19.7057 eV/atom

***

Entry 10:
Density functional theory data (r²SCAN) for a relaxed MgVBiO5 crystal.

The structure in POSCAR format:
```
MgVBiO5
1.0
-3.951 0.292 3.339
-6.728 0.111 -7.970
-0.774 -15.456 0.438
O Bi Mg V
40 8 8 8
direct
0.142 0.803 0.015
0.816 0.475 0.618
0.858 0.697 0.515
0.684 0.475 0.118
0.358 0.803 0.515
0.316 0.525 0.882
0.416 0.680 0.186
0.358 0.303 0.985
0.803 0.457 0.946
0.303 0.543 0.554
0.816 0.975 0.882
0.858 0.197 0.985
0.323 0.292 0.657
0.823 0.708 0.843
0.184 0.025 0.118
0.323 0.792 0.843
0.084 0.680 0.686
0.416 0.180 0.314
0.197 0.543 0.054
0.184 0.525 0.382
0.084 0.180 0.814
0.303 0.043 0.946
0.916 0.320 0.314
0.803 0.957 0.554
0.316 0.025 0.618
0.642 0.197 0.485
0.823 0.208 0.657
0.697 0.457 0.446
0.177 0.292 0.157
0.142 0.303 0.485
0.916 0.820 0.186
0.677 0.208 0.157
0.197 0.043 0.446
0.177 0.792 0.343
0.677 0.708 0.343
0.584 0.820 0.686
0.697 0.957 0.054
0.642 0.697 0.015
0.584 0.320 0.814
0.684 0.975 0.382
0.507 0.857 0.270
0.993 0.857 0.770
0.493 0.643 0.770
0.007 0.643 0.270
0.507 0.357 0.230
0.007 0.143 0.230
0.993 0.357 0.730
0.493 0.143 0.730
0.501 0.134 0.049
0.001 0.366 0.049
0.499 0.866 0.951
0.001 0.866 0.451
0.999 0.134 0.549
0.499 0.366 0.549
0.999 0.634 0.951
0.501 0.634 0.451
0.514 0.397 0.911
0.514 0.897 0.589
0.014 0.603 0.589
0.986 0.397 0.411
0.986 0.897 0.089
0.014 0.103 0.911
0.486 0.603 0.089
0.486 0.103 0.411
```

- SG: Pbca
- VASP energy: -15.6439 eV/atom

***

Entry 11:
Density functional theory data (r²SCAN) for a relaxed MgZrBi2O6 crystal.

The structure in POSCAR format:
```
MgZrBi2O6
1.0
0.202 -5.130 2.370
-3.691 -3.986 -1.568
1.753 -4.444 -3.025
O Bi Zr Mg
6 2 1 1
direct
0.245 0.245 0.755
0.755 0.245 0.755
0.755 0.755 0.245
0.755 0.245 0.245
0.245 0.755 0.245
0.245 0.755 0.755
0.250 0.250 0.250
0.750 0.750 0.750
0.500 0.500 0.500
0.000 0.000 0.000
```

- SG: Fm-3m
- VASP energy: -19.9985 eV/atom

***

Entry 12:
Density functional theory data (r²SCAN) for a relaxed Mg14BiW crystal.

The structure in POSCAR format:
```
Mg14BiW
1.0
6.276 0.000 0.000
-3.138 5.436 0.000
0.000 0.000 10.197
Mg W Bi
14 1 1
direct
0.842 0.171 0.890
0.166 0.833 0.125
0.666 0.834 0.625
0.667 0.334 0.125
0.842 0.171 0.360
0.833 0.667 0.375
0.666 0.333 0.625
0.667 0.833 0.125
0.329 0.171 0.360
0.833 0.667 0.875
0.167 0.834 0.625
0.329 0.658 0.360
0.329 0.658 0.890
0.329 0.171 0.890
0.167 0.333 0.125
0.167 0.333 0.625
```

- SG: P-6m2
- VASP energy: -10.3759 eV/atom

***

Entry 13:
Density functional theory data (r²SCAN) for a relaxed YbMg2Bi2 crystal.

The structure in POSCAR format:
```
YbMg2Bi2
1.0
-3.157 3.556 0.754
4.620 1.030 -0.881
-1.387 0.250 -6.985
Bi Mg Yb
2 2 1
direct
0.333 0.667 0.232
0.667 0.333 0.768
0.667 0.333 0.350
0.333 0.667 0.650
0.000 0.000 0.000
```

- SG: P-3m1
- VASP energy: -32.7821 eV/atom

***

Entry 14:
Density functional theory data (r²SCAN) for a relaxed Mn2BiO5 crystal.

The structure in POSCAR format:
```
Mn2BiO5
1.0
0.000 0.000 5.763
7.504 0.000 0.000
0.000 8.558 0.000
Mn O Bi
8 20 4
direct
0.259 0.000 0.000
0.500 0.593 0.150
0.741 0.000 0.000
0.259 0.500 0.500
0.500 0.093 0.350
0.500 0.907 0.650
0.741 0.500 0.500
0.500 0.407 0.850
0.500 0.352 0.430
0.253 0.890 0.799
0.716 0.500 0.000
0.500 0.148 0.930
0.500 0.648 0.570
0.747 0.890 0.799
0.253 0.390 0.701
0.253 0.110 0.201
0.284 0.000 0.500
0.747 0.110 0.201
0.716 0.000 0.500
0.000 0.156 0.945
0.500 0.852 0.070
0.747 0.390 0.701
0.747 0.610 0.299
0.000 0.344 0.445
0.000 0.844 0.055
0.000 0.656 0.555
0.284 0.500 0.000
0.253 0.610 0.299
0.000 0.846 0.334
0.000 0.154 0.666
0.000 0.346 0.166
0.000 0.654 0.834
```

- SG: Pbam
- VASP energy: -16.6359 eV/atom

***

Entry 15:
Density functional theory data (r²SCAN) for a relaxed MnBi4S7 crystal.

The structure in POSCAR format:
```
MnBi4S7
1.0
1.907 2.591 -2.331
1.803 -6.185 -2.014
-10.160 2.138 -5.937
Bi S Mn
4 7 1
direct
0.120 0.240 0.925
0.880 0.760 0.075
0.682 0.363 0.340
0.318 0.637 0.660
0.032 0.065 0.305
0.648 0.297 0.548
0.743 0.487 0.859
0.257 0.513 0.141
0.968 0.935 0.695
0.500 0.000 0.000
0.352 0.703 0.452
0.000 0.000 0.500
```

- SG: C2/m
- VASP energy: -25.9467 eV/atom

***

Entry 16:
Density functional theory data (r²SCAN) for a relaxed YbMn2BiSb crystal.

The structure in POSCAR format:
```
YbMn2BiSb
1.0
2.230 -3.863 0.000
2.230 3.863 0.000
0.000 0.000 7.377
Bi Mn Yb Sb
1 2 1 1
direct
0.333 0.667 0.767
0.000 0.000 0.614
0.333 0.667 0.371
0.667 0.333 0.012
0.000 0.000 0.237
```

- SG: P3m1
- VASP energy: -30.3969 eV/atom

***

Entry 17:
Density functional theory data (r²SCAN) for a relaxed Ti4MnBi2 crystal.

The structure in POSCAR format:
```
Ti4MnBi2
1.0
4.778 0.000 1.603
2.389 7.471 0.801
0.012 0.000 7.885
Ti Mn Bi
8 2 4
direct
0.418 0.279 0.886
0.918 0.886 0.279
0.197 0.721 0.886
0.303 0.114 0.279
0.803 0.279 0.114
0.697 0.886 0.721
0.582 0.721 0.114
0.082 0.114 0.721
0.250 0.000 0.000
0.750 0.000 0.000
0.359 0.781 0.500
0.641 0.219 0.500
0.141 0.500 0.219
0.859 0.500 0.781
```

- SG: I4/mcm
- VASP energy: -26.5030 eV/atom